# GaNi3As GGA-PBE relaxed
data_GaNi3As
_cell_length_a 3.9542
_cell_length_b 3.9542
_cell_length_c 4.8816
_cell_angle_alpha 90.00
_cell_angle_beta 90.00
_cell_angle_gamma 120.00
_space_group_name_H-M_alt 'P 1'
_space_group_IT_number 1
loop_
_space_group_symop_operation_xyz
'x,y,z'
loop_
_atom_site_label
_atom_site_type_symbol
_atom_site_fract_x
_atom_site_fract_y
_atom_site_fract_z
Ga1 Ga 0.0000 0.0000 0.0000
Ni1 Ni 0.3333 0.6667 0.0000
Ni2 Ni 0.6667 0.3333 0.2552
Ni3 Ni 0.6667 0.3333 0.7448
As1 As 0.3333 0.6667 0.5000
# - ΔH_f (0 K) (eV/atom) = -0.28
# - final energy (eV/atom) = -5.282
# - total magnetization (μB/atom) = 0.000

---

# Nb3Pt GGA-PBE relaxed
data_Nb3Pt
_cell_length_a 5.2063
_cell_length_b 5.2063
_cell_length_c 5.2063
_cell_angle_alpha 90.00
_cell_angle_beta 90.00
_cell_angle_gamma 90.00
_space_group_name_H-M_alt 'P 1'
_space_group_IT_number 1
loop_
_space_group_symop_operation_xyz
'x,y,z'
loop_
_atom_site_label
_atom_site_type_symbol
_atom_site_fract_x
_atom_site_fract_y
_atom_site_fract_z
Nb1 Nb 0.0000 0.2500 0.5000
Nb2 Nb 0.0000 0.7500 0.5000
Nb3 Nb 0.2500 0.5000 0.0000
Nb4 Nb 0.5000 0.0000 0.2500
Nb5 Nb 0.5000 0.0000 0.7500
Nb6 Nb 0.7500 0.5000 0.0000
Pt1 Pt 0.0000 0.0000 0.0000
Pt2 Pt 0.5000 0.5000 0.5000
# - ΔH_f (0 K) (eV/atom) = -0.38
# - final energy (eV/atom) = -9.475